# 1
Material: Na15Ca7Nb5P18O72
Method: DFT, PBE-GGA
State: relaxed

a b c (Å): 9.173 9.192 22.945
angles (deg): 90.06 90.03 119.79
Sites, in units of the cell vectors:
1 Na 0.000 0.000 0.000
2 Na 0.000 0.995 0.490
3 Na 0.004 0.376 0.749
4 Na 0.013 0.690 0.915
5 Na 0.016 0.317 0.410
6 Na 0.310 0.322 0.915
7 Na 0.327 0.662 0.322
8 Na 0.333 0.667 0.830
9 Na 0.369 0.994 0.749
10 Na 0.626 0.629 0.749
11 Na 0.635 0.986 0.244
12 Na 0.654 0.319 0.660
13 Na 0.669 0.345 0.154
14 Na 0.677 0.987 0.915
15 Na 0.964 0.650 0.576
16 Ca 0.001 0.000 0.849
17 Ca 0.004 0.992 0.351
18 Ca 0.325 0.658 0.185
19 Ca 0.336 0.666 0.678
20 Ca 0.656 0.326 0.517
21 Ca 0.666 0.333 0.818
22 Ca 0.667 0.332 0.018
23 Nb 0.003 0.999 0.147
24 Nb 0.333 0.666 0.990
25 Nb 0.342 0.672 0.479
26 Nb 0.663 0.338 0.312
27 Nb 0.999 0.004 0.643
28 P 0.039 0.678 0.085
29 P 0.044 0.368 0.582
30 P 0.293 0.291 0.746
31 P 0.303 0.013 0.249
32 P 0.321 0.360 0.086
33 P 0.323 0.957 0.584
34 P 0.363 0.016 0.917
35 P 0.377 0.346 0.416
36 P 0.637 0.678 0.583
37 P 0.639 0.959 0.088
38 P 0.655 0.637 0.917
39 P 0.658 0.037 0.415
40 P 0.708 0.001 0.746
41 P 0.714 0.704 0.249
42 P 0.966 0.621 0.419
43 P 0.983 0.345 0.917
44 P 0.988 0.287 0.253
45 P 0.998 0.706 0.745
46 O 0.001 0.798 0.411
47 O 0.002 0.212 0.309
48 O 0.014 0.799 0.802
49 O 0.018 0.197 0.914
50 O 0.032 0.189 0.587
51 O 0.037 0.851 0.089
52 O 0.115 0.462 0.639
53 O 0.123 0.661 0.138
54 O 0.130 0.464 0.244
55 O 0.143 0.620 0.422
56 O 0.146 0.954 0.584
57 O 0.148 0.187 0.090
58 O 0.153 0.683 0.741
59 O 0.158 0.697 0.029
60 O 0.160 0.508 0.929
61 O 0.164 0.465 0.528
62 O 0.178 0.174 0.693
63 O 0.180 0.982 0.914
64 O 0.195 0.211 0.408
65 O 0.202 0.029 0.195
66 O 0.202 0.217 0.803
67 O 0.204 0.988 0.303
68 O 0.301 0.461 0.030
69 O 0.303 0.830 0.531
70 O 0.315 0.467 0.742
71 O 0.337 0.885 0.641
72 O 0.342 0.464 0.138
73 O 0.350 0.840 0.930
74 O 0.351 0.878 0.241
75 O 0.373 0.520 0.422
76 O 0.452 0.321 0.470
77 O 0.455 0.141 0.964
78 O 0.460 0.073 0.858
79 O 0.461 0.291 0.741
80 O 0.463 0.327 0.074
81 O 0.465 0.133 0.576
82 O 0.480 0.187 0.255
83 O 0.490 0.858 0.425
84 O 0.492 0.652 0.930
85 O 0.495 0.363 0.361
86 O 0.530 0.693 0.531
87 O 0.532 0.847 0.741
88 O 0.533 0.835 0.033
89 O 0.539 0.679 0.240
90 O 0.543 0.882 0.142
91 O 0.549 0.655 0.641
92 O 0.613 0.539 0.858
93 O 0.630 0.125 0.359
94 O 0.668 0.133 0.076
95 O 0.680 0.540 0.574
96 O 0.686 0.144 0.468
97 O 0.687 0.544 0.964
98 O 0.705 0.526 0.257
99 O 0.706 0.168 0.741
100 O 0.783 0.985 0.803
101 O 0.790 0.809 0.303
102 O 0.803 0.819 0.914
103 O 0.807 0.009 0.407
104 O 0.812 0.288 0.255
105 O 0.813 0.849 0.585
106 O 0.814 0.962 0.090
107 O 0.825 0.003 0.693
108 O 0.832 0.538 0.741
109 O 0.834 0.799 0.195
110 O 0.859 0.313 0.964
111 O 0.862 0.496 0.366
112 O 0.863 0.536 0.075
113 O 0.870 0.347 0.574
114 O 0.876 0.545 0.475
115 O 0.926 0.386 0.858
116 O 0.965 0.162 0.199
117 O 0.995 0.818 0.691

energy of formation from the pure elements = -2.84 eV per atom
space-group type = P1



# 2
Material: Na9Ca4Nb2P9O36
Method: DFT, PBE-GGA
State: relaxed

a b c (Å): 16.105 27.914 9.156
angles (deg): 89.95 125.82 90.13
Sites, in units of the cell vectors:
1 Na 0.258 0.250 0.015
2 Na 0.254 0.582 0.012
3 Na 0.249 0.916 0.011
4 Na 0.753 0.250 0.503
5 Na 0.762 0.599 0.522
6 Na 0.744 0.905 0.511
7 Na 0.754 0.082 0.012
8 Na 0.749 0.416 0.011
9 Na 0.758 0.750 0.015
10 Na 0.262 0.099 0.522
11 Na 0.244 0.405 0.511
12 Na 0.253 0.750 0.503
13 Na 0.498 0.039 0.763
14 Na 0.500 0.375 0.763
15 Na 0.502 0.701 0.777
16 Na 0.504 0.303 0.271
17 Na 0.494 0.633 0.260
18 Na 0.498 0.972 0.266
19 Na 0.002 0.201 0.777
20 Na 0.998 0.539 0.763
21 Na 0.000 0.875 0.763
22 Na 0.994 0.133 0.260
23 Na 0.998 0.472 0.266
24 Na 0.004 0.803 0.271
25 Na 0.824 0.977 0.212
26 Na 0.182 0.638 0.280
27 Na 0.188 0.970 0.299
28 Na 0.186 0.689 0.751
29 Na 0.809 0.019 0.731
30 Na 0.811 0.357 0.710
31 Na 0.324 0.477 0.212
32 Na 0.682 0.138 0.280
33 Na 0.688 0.470 0.299
34 Na 0.686 0.189 0.751
35 Na 0.309 0.519 0.731
36 Na 0.311 0.857 0.710
37 Ca 0.094 0.584 0.552
38 Ca 0.101 0.921 0.563
39 Ca 0.896 0.252 0.948
40 Ca 0.896 0.584 0.950
41 Ca 0.891 0.917 0.942
42 Ca 0.904 0.080 0.458
43 Ca 0.896 0.414 0.443
44 Ca 0.897 0.747 0.437
45 Ca 0.594 0.084 0.552
46 Ca 0.601 0.421 0.563
47 Ca 0.396 0.084 0.950
48 Ca 0.391 0.417 0.942
49 Ca 0.396 0.752 0.948
50 Ca 0.397 0.247 0.437
51 Ca 0.404 0.580 0.458
52 Ca 0.396 0.914 0.443
53 Nb 0.104 0.253 0.551
54 Nb 0.101 0.086 0.042
55 Nb 0.108 0.410 0.054
56 Nb 0.101 0.750 0.053
57 Nb 0.604 0.753 0.551
58 Nb 0.601 0.250 0.053
59 Nb 0.601 0.586 0.042
60 Nb 0.608 0.910 0.054
61 P 0.002 0.315 0.740
62 P 0.011 0.650 0.764
63 P 0.003 0.984 0.742
64 P 0.997 0.020 0.225
65 P 0.003 0.351 0.235
66 P 0.014 0.685 0.262
67 P 0.511 0.150 0.764
68 P 0.503 0.484 0.742
69 P 0.502 0.815 0.740
70 P 0.514 0.185 0.262
71 P 0.497 0.520 0.225
72 P 0.503 0.851 0.235
73 P 0.350 0.296 0.745
74 P 0.345 0.631 0.745
75 P 0.353 0.960 0.760
76 P 0.641 0.301 0.737
77 P 0.643 0.640 0.734
78 P 0.643 0.968 0.743
79 P 0.649 0.026 0.238
80 P 0.643 0.364 0.234
81 P 0.640 0.698 0.237
82 P 0.348 0.035 0.267
83 P 0.356 0.370 0.275
84 P 0.345 0.704 0.246
85 P 0.845 0.131 0.745
86 P 0.853 0.460 0.760
87 P 0.850 0.796 0.745
88 P 0.143 0.140 0.734
89 P 0.143 0.468 0.743
90 P 0.141 0.801 0.737
91 P 0.140 0.198 0.237
92 P 0.149 0.526 0.238
93 P 0.143 0.864 0.234
94 P 0.845 0.204 0.246
95 P 0.848 0.535 0.267
96 P 0.856 0.870 0.275
97 O 0.143 0.197 0.738
98 O 0.160 0.521 0.792
99 O 0.158 0.855 0.784
100 O 0.835 0.186 0.735
101 O 0.858 0.514 0.767
102 O 0.842 0.850 0.762
103 O 0.838 0.151 0.278
104 O 0.818 0.483 0.262
105 O 0.845 0.816 0.236
106 O 0.145 0.141 0.250
107 O 0.152 0.469 0.221
108 O 0.150 0.808 0.214
109 O 0.660 0.021 0.792
110 O 0.658 0.355 0.784
111 O 0.643 0.697 0.738
112 O 0.358 0.014 0.767
113 O 0.342 0.350 0.762
114 O 0.335 0.686 0.735
115 O 0.345 0.316 0.236
116 O 0.338 0.651 0.278
117 O 0.318 0.983 0.262
118 O 0.650 0.308 0.214
119 O 0.645 0.641 0.250
120 O 0.652 0.969 0.221
121 O 0.465 0.181 0.598
122 O 0.451 0.505 0.555
123 O 0.429 0.844 0.576
124 O 0.563 0.187 0.935
125 O 0.549 0.530 0.883
126 O 0.566 0.849 0.912
127 O 0.586 0.162 0.449
128 O 0.570 0.486 0.382
129 O 0.560 0.811 0.396
130 O 0.472 0.148 0.115
131 O 0.423 0.494 0.048
132 O 0.432 0.826 0.057
133 O 0.951 0.005 0.555
134 O 0.929 0.344 0.576
135 O 0.965 0.681 0.598
136 O 0.049 0.030 0.883
137 O 0.066 0.349 0.912
138 O 0.063 0.687 0.935
139 O 0.060 0.311 0.396
140 O 0.086 0.662 0.449
141 O 0.070 0.986 0.382
142 O 0.932 0.326 0.057
143 O 0.972 0.648 0.115
144 O 0.923 0.994 0.048
145 O 0.253 0.271 0.727
146 O 0.275 0.606 0.786
147 O 0.282 0.936 0.799
148 O 0.732 0.279 0.748
149 O 0.738 0.620 0.761
150 O 0.729 0.947 0.735
151 O 0.742 0.047 0.248
152 O 0.730 0.390 0.241
153 O 0.732 0.719 0.255
154 O 0.244 0.065 0.198
155 O 0.251 0.389 0.235
156 O 0.258 0.731 0.241
157 O 0.775 0.106 0.786
158 O 0.782 0.436 0.799
159 O 0.753 0.771 0.727
160 O 0.238 0.120 0.761
161 O 0.229 0.447 0.735
162 O 0.232 0.779 0.748
163 O 0.232 0.219 0.255
164 O 0.242 0.547 0.248
165 O 0.230 0.890 0.241
166 O 0.758 0.231 0.241
167 O 0.744 0.565 0.198
168 O 0.751 0.889 0.235
169 O 0.346 0.283 0.584
170 O 0.324 0.611 0.571
171 O 0.328 0.941 0.581
172 O 0.627 0.276 0.883
173 O 0.633 0.626 0.893
174 O 0.645 0.942 0.905
175 O 0.654 0.035 0.410
176 O 0.648 0.370 0.407
177 O 0.631 0.715 0.399
178 O 0.377 0.042 0.138
179 O 0.369 0.398 0.146
180 O 0.334 0.710 0.071
181 O 0.824 0.111 0.571
182 O 0.828 0.441 0.581
183 O 0.846 0.783 0.584
184 O 0.133 0.126 0.893
185 O 0.145 0.442 0.905
186 O 0.127 0.776 0.883
187 O 0.131 0.215 0.399
188 O 0.154 0.535 0.410
189 O 0.148 0.870 0.407
190 O 0.834 0.210 0.071
191 O 0.877 0.542 0.138
192 O 0.869 0.898 0.146
193 O 0.453 0.275 0.924
194 O 0.461 0.617 0.905
195 O 0.468 0.937 0.913
196 O 0.544 0.290 0.553
197 O 0.544 0.625 0.556
198 O 0.539 0.959 0.567
199 O 0.550 0.045 0.070
200 O 0.541 0.381 0.064
201 O 0.539 0.711 0.062
202 O 0.432 0.054 0.456
203 O 0.442 0.385 0.469
204 O 0.454 0.726 0.408
205 O 0.961 0.117 0.905
206 O 0.968 0.437 0.913
207 O 0.953 0.775 0.924
208 O 0.044 0.125 0.556
209 O 0.039 0.459 0.567
210 O 0.044 0.790 0.553
211 O 0.039 0.211 0.062
212 O 0.050 0.545 0.070
213 O 0.041 0.881 0.064
214 O 0.954 0.226 0.408
215 O 0.932 0.554 0.456
216 O 0.942 0.885 0.469
217 O 0.083 0.287 0.727
218 O 0.104 0.621 0.801
219 O 0.094 0.952 0.799
220 O 0.940 0.278 0.761
221 O 0.933 0.618 0.760
222 O 0.924 0.958 0.756
223 O 0.934 0.055 0.254
224 O 0.949 0.389 0.272
225 O 0.933 0.720 0.239
226 O 0.074 0.053 0.205
227 O 0.092 0.377 0.243
228 O 0.091 0.720 0.245
229 O 0.604 0.121 0.801
230 O 0.594 0.452 0.799
231 O 0.583 0.787 0.727
232 O 0.433 0.118 0.760
233 O 0.424 0.458 0.756
234 O 0.440 0.778 0.761
235 O 0.433 0.220 0.239
236 O 0.434 0.555 0.254
237 O 0.449 0.889 0.272
238 O 0.591 0.220 0.245
239 O 0.574 0.553 0.205
240 O 0.592 0.877 0.243

energy relative to the lowest polymorph listed for this composition = 2 meV/atom
energy of formation from the pure elements = -2.86 eV per atom



Number 1: size of the total moment 0.000 μB/atom, E (MP2020) -870.20 eV/cell, total energy -820.733 eV for the cell shown. Number 2: size of the total moment 0.000 μB/atom, E (MP2020) -1754.06 eV/cell, total energy -1655.134 eV for the cell shown.